# 1
r2SCAN Na2MnF5, optimized geometry; formation energy = -2.970 eV per atom; space group = P2_1/c
1.0
5.191 0.000 0.000
0.000 7.662 -0.009
0.000 3.438 10.180
Na Mn F
8 4 20
direct
0.938 0.344 0.317
0.438 0.656 0.183
0.062 0.656 0.683
0.562 0.344 0.817
0.487 0.150 0.130
0.987 0.850 0.370
0.513 0.850 0.870
0.013 0.150 0.630
0.500 0.500 0.500
0.000 0.500 0.000
0.500 0.000 0.500
0.000 0.000 0.000
0.751 0.495 0.624
0.251 0.505 0.876
0.249 0.505 0.376
0.749 0.495 0.124
0.716 0.622 0.362
0.216 0.378 0.138
0.284 0.378 0.638
0.784 0.622 0.862
0.672 0.251 0.496
0.172 0.749 0.004
0.328 0.749 0.504
0.828 0.251 0.996
0.849 0.049 0.832
0.349 0.951 0.668
0.151 0.951 0.168
0.651 0.049 0.332
0.696 0.890 0.073
0.196 0.110 0.427
0.304 0.110 0.927
0.804 0.890 0.573



# 2
r2SCAN Zr2Ga3, optimized geometry; formation energy = -0.691 eV per atom; space group = Fdd2
1.0
-4.628 -2.694 1.105
4.757 -1.907 1.906
-0.868 6.036 4.238
Zr Ga
4 6
direct
0.113 0.755 0.896
0.859 0.217 0.104
0.005 0.863 0.396
0.467 0.609 0.604
0.595 0.595 0.000
0.845 0.345 0.500
0.523 0.163 0.733
0.430 0.790 0.267
0.413 0.273 0.233
0.040 0.180 0.767



# 3
r2SCAN DyCoSi, optimized geometry; formation energy = -0.690 eV per atom; space group = Pnma
1.0
-0.457 -1.099 -4.046
-5.597 -3.744 1.650
-3.928 5.420 -1.029
Dy Co Si
4 4 4
direct
0.250 0.477 0.811
0.750 0.523 0.189
0.250 0.977 0.689
0.750 0.023 0.311
0.750 0.852 0.932
0.250 0.148 0.068
0.750 0.352 0.568
0.250 0.648 0.432
0.250 0.807 0.108
0.750 0.193 0.892
0.250 0.307 0.392
0.750 0.693 0.608



# 4
r2SCAN TmAg, optimized geometry; formation energy = -0.355 eV per atom; space group = Pm-3m
1.0
3.561 0.000 0.000
0.000 3.561 0.000
0.000 0.000 3.561
Tm Ag
1 1
direct
0.500 0.500 0.500
0.000 0.000 0.000



# 5
r2SCAN PuZn2, optimized geometry; formation energy = -0.291 eV per atom; space group = Fd-3m
1.0
4.688 0.000 2.707
1.563 4.420 2.707
0.000 0.000 5.413
Pu Zn
2 4
direct
0.125 0.125 0.125
0.875 0.875 0.875
0.500 0.000 0.500
0.000 0.500 0.500
0.500 0.500 0.500
0.500 0.500 0.000



# 6
r2SCAN CaAu2, optimized geometry; formation energy = -0.775 eV per atom; space group = Imma
1.0
4.208 0.000 1.808
1.791 5.400 1.632
-0.050 0.067 5.918
Ca Au
2 4
direct
0.542 0.708 0.208
0.458 0.292 0.792
0.160 0.301 0.379
0.840 0.699 0.621
0.160 0.879 0.801
0.840 0.121 0.199



# 7
r2SCAN ScPaOs2, optimized geometry; formation energy = -0.411 eV per atom; space group = Fm-3m
1.0
-0.453 -1.958 4.292
-1.702 2.561 3.605
-4.309 -0.928 1.739
Sc Pa Os
1 1 2
direct
0.750 0.750 0.750
0.250 0.250 0.250
0.000 0.000 0.000
0.500 0.500 0.500



# 8
r2SCAN Li2PmSi, optimized geometry; formation energy = -0.349 eV per atom; space group = Fm-3m
1.0
0.000 3.257 3.257
3.257 0.000 3.257
3.257 3.257 0.000
Li Pm Si
2 1 1
direct
0.000 0.000 0.000
0.500 0.500 0.500
0.250 0.250 0.250
0.750 0.750 0.750



# 9
r2SCAN GaNi3, optimized geometry; formation energy = -0.279 eV per atom; space group = Pm-3m
1.0
-1.165 -2.414 2.307
3.333 -0.990 0.648
0.203 2.388 2.601
Ga Ni
1 3
direct
0.000 0.000 0.000
0.500 0.000 0.500
0.000 0.500 0.500
0.500 0.500 0.000



# 10
r2SCAN Tm2MoO6, optimized geometry; formation energy = -3.283 eV per atom; space group = C2/c
1.0
-6.097 -0.839 -7.553
0.967 -8.537 -4.594
-3.975 -2.975 1.749
Tm Mo O
8 4 24
direct
0.550 0.783 0.623
0.783 0.550 0.123
0.450 0.217 0.377
0.217 0.450 0.877
0.862 0.138 0.250
0.138 0.862 0.750
0.394 0.606 0.250
0.606 0.394 0.750
0.295 0.015 0.063
0.985 0.705 0.437
0.705 0.985 0.937
0.015 0.295 0.563
0.611 0.572 0.921
0.428 0.389 0.579
0.389 0.428 0.079
0.572 0.611 0.421
0.337 0.805 0.919
0.195 0.663 0.581
0.663 0.195 0.081
0.805 0.337 0.419
0.326 0.886 0.374
0.114 0.674 0.126
0.674 0.114 0.626
0.886 0.326 0.874
0.187 0.288 0.638
0.712 0.813 0.862
0.813 0.712 0.362
0.288 0.187 0.138
0.049 0.110 0.514
0.890 0.951 0.986
0.433 0.024 0.755
0.110 0.049 0.014
0.024 0.433 0.255
0.567 0.976 0.245
0.976 0.567 0.745
0.951 0.890 0.486



# 11
r2SCAN Ho3Pd2, optimized geometry; formation energy = -0.773 eV per atom; space group = P4/mbm
1.0
-1.433 3.189 -1.881
-3.952 1.931 6.287
5.965 4.141 2.478
Ho Pd
6 4
direct
0.500 0.664 0.836
0.500 0.836 0.336
0.500 0.336 0.164
0.500 0.164 0.664
0.000 0.500 0.500
0.000 0.000 0.000
0.000 0.634 0.134
0.000 0.866 0.634
0.000 0.134 0.366
0.000 0.366 0.866



# 12
r2SCAN TeSeO4, optimized geometry; formation energy = -0.931 eV per atom; space group = Ima2
1.0
-0.923 2.453 -3.556
3.960 -3.956 -3.760
-6.413 -2.936 2.385
Te Se O
2 2 8
direct
0.138 0.889 0.777
0.860 0.111 0.223
0.610 0.622 0.243
0.867 0.379 0.757
0.811 0.953 0.905
0.146 0.205 0.784
0.673 0.755 0.509
0.862 0.421 0.216
0.406 0.047 0.095
0.863 0.796 0.217
0.664 0.245 0.491
0.146 0.579 0.783



# 13
r2SCAN NdCoSi2, optimized geometry; formation energy = -0.719 eV per atom; space group = Cmcm
1.0
-2.114 2.300 2.564
-3.342 -0.342 -2.449
-0.639 -6.502 5.307
Nd Co Si
2 2 4
direct
0.250 0.892 0.785
0.750 0.108 0.215
0.750 0.318 0.636
0.250 0.682 0.364
0.250 0.250 0.500
0.750 0.750 0.500
0.750 0.456 0.912
0.250 0.544 0.088



# 14
r2SCAN Sr2Ti2Sb2OF2, optimized geometry; formation energy = -2.449 eV per atom; space group = I4/mmm
1.0
-2.063 2.063 10.476
2.063 -2.063 10.476
2.063 2.063 -10.476
Sr Ti Sb O F
2 2 2 1 2
direct
0.316 0.316 0.000
0.684 0.684 0.000
0.500 0.000 0.500
0.000 0.500 0.500
0.904 0.904 0.000
0.096 0.096 0.000
0.500 0.500 0.000
0.250 0.750 0.500
0.750 0.250 0.500



# 15
r2SCAN YbCl2, optimized geometry; formation energy = -2.025 eV per atom; space group = P4_2/mnm
1.0
6.719 0.000 0.000
0.000 6.719 0.000
0.000 0.000 3.379
Yb Cl
2 4
direct
0.000 0.000 0.000
0.500 0.500 0.500
0.279 0.279 0.000
0.721 0.721 0.000
0.221 0.779 0.500
0.779 0.221 0.500



# 16
r2SCAN Na4UO5, optimized geometry; formation energy = -2.578 eV per atom; space group = I4/m
1.0
-0.361 -4.224 1.840
3.183 -3.974 -2.696
3.865 -1.055 4.140
Na U O
4 1 5
direct
0.595 0.599 0.210
0.405 0.401 0.790
0.195 0.210 0.401
0.805 0.790 0.599
0.000 0.000 0.000
0.741 0.179 0.339
0.080 0.661 0.179
0.920 0.339 0.821
0.259 0.821 0.661
0.500 0.000 0.000



# 17
r2SCAN YInCu4, optimized geometry; formation energy = -0.302 eV per atom; space group = F-43m
1.0
0.000 3.589 3.589
3.589 0.000 3.589
3.589 3.589 0.000
Y In Cu
1 1 4
direct
0.000 0.000 0.000
0.250 0.250 0.250
0.625 0.625 0.126
0.625 0.126 0.625
0.126 0.625 0.625
0.625 0.625 0.625



# 18
r2SCAN Na2TiF5, optimized geometry; formation energy = -3.327 eV per atom; space group = P2_1/c
1.0
5.257 0.000 0.000
0.000 7.431 0.045
0.000 3.363 10.564
Na Ti F
8 4 20
direct
0.932 0.346 0.315
0.432 0.654 0.185
0.068 0.654 0.685
0.568 0.346 0.815
0.495 0.155 0.138
0.995 0.845 0.362
0.505 0.845 0.862
0.005 0.155 0.638
0.500 0.500 0.500
0.000 0.500 0.000
0.500 0.000 0.500
0.000 0.000 0.000
0.764 0.481 0.627
0.264 0.519 0.873
0.236 0.519 0.373
0.736 0.481 0.127
0.714 0.620 0.354
0.214 0.380 0.146
0.286 0.380 0.646
0.786 0.620 0.854
0.658 0.252 0.496
0.158 0.748 0.004
0.342 0.748 0.504
0.842 0.252 0.996
0.831 0.058 0.829
0.331 0.942 0.671
0.169 0.942 0.171
0.669 0.058 0.329
0.690 0.888 0.075
0.190 0.112 0.425
0.310 0.112 0.925
0.810 0.888 0.575



# 19
r2SCAN Dy2B4C, optimized geometry; formation energy = -0.663 eV per atom; space group = Immm
1.0
-1.386 1.523 2.542
3.352 -0.201 4.053
1.880 4.912 0.187
Dy B C
2 4 1
direct
0.766 0.234 0.234
0.234 0.766 0.766
0.000 0.366 0.634
0.500 0.773 0.227
0.000 0.634 0.366
0.500 0.227 0.773
0.500 0.000 0.000



# 20
r2SCAN LiAcHg2, optimized geometry; formation energy = -0.467 eV per atom; space group = Fm-3m
1.0
0.000 3.792 3.792
3.792 0.000 3.792
3.792 3.792 0.000
Li Ac Hg
1 1 2
direct
0.000 0.000 0.000
0.500 0.500 0.500
0.250 0.250 0.250
0.750 0.750 0.750



# 21
r2SCAN Ba2AlFe3O8, optimized geometry; formation energy = -2.083 eV per atom; space group = P4/mmm
1.0
-1.366 -3.519 0.464
0.980 -0.851 -3.575
10.800 -3.685 3.837
Ba Al Fe O
2 1 3 8
direct
0.500 0.500 0.170
0.500 0.500 0.830
0.500 0.500 0.500
0.000 0.000 0.352
0.000 0.000 0.000
0.000 0.000 0.648
0.000 0.500 0.399
0.500 0.000 0.399
0.500 0.000 0.000
0.000 0.000 0.198
0.000 0.500 0.601
0.500 0.000 0.601
0.000 0.000 0.802
0.000 0.500 0.000



| no. | calculated volume (Å³/f.u.) |
| --- | --- |
| 1 | 101 |
| 2 | 90 |
| 3 | 50 |
| 4 | 45 |
| 5 | 56 |
| 6 | 67 |
| 7 | 75 |
| 8 | 69 |
| 9 | 44 |
| 10 | 110 |
| 11 | 117 |
| 12 | 93 |
| 13 | 69 |
| 14 | 178 |
| 15 | 76 |
| 16 | 129 |
| 17 | 92 |
| 18 | 103 |
| 19 | 81 |
| 20 | 109 |
| 21 | 174 |